[1]
## InTe3Mo3 (r2SCAN)

Data for a geometry-optimized InTe3Mo3 structure.

Lattice parameters (Å, degrees): 4.5926 9.6032 9.6017 119.98 90.00 90.00
Sites, in units of the cell vectors:
In 0.7500 0.6661 0.3338
In 0.2500 0.3339 0.6662
Te 0.7500 0.6324 0.6950
Te 0.7500 0.3050 0.9372
Te 0.7500 0.0627 0.3677
Te 0.2500 0.3676 0.3050
Te 0.2500 0.6950 0.0628
Te 0.2500 0.9373 0.6323
Mo 0.7500 0.9713 0.8290
Mo 0.7500 0.1710 0.1423
Mo 0.7500 0.8576 0.0287
Mo 0.2500 0.0287 0.1710
Mo 0.2500 0.8290 0.8577
Mo 0.2500 0.1424 0.9713

Output
The formation energy is -0.30 eV per atom. The calculation puts the calculated total energy at -358.2 eV for the cell shown. For the magnetization, the calculation gives 0.000 μB/f.u. The theoretical density comes out at 7.1 g cm⁻³.

[2]
## Nd3InN (r2SCAN)

Data for a geometry-optimized Nd3InN structure.

Lattice parameters (Å, degrees): 5.0283 5.0283 5.0283 90.00 90.00 90.00
Sites, in units of the cell vectors:
Nd 0.5000 0.5000 0.0000
Nd 0.0000 0.5000 0.5000
Nd 0.5000 0.0000 0.5000
In 0.0000 0.0000 0.0000
N 0.5000 0.5000 0.5000

Output
The formation energy is -1.05 eV per atom. The calculation puts the calculated total energy at -125.2 eV for the cell shown. For the magnetization, the calculation gives 0.024 μB/f.u. The theoretical density comes out at 7.3 g cm⁻³.

[3]
## Pr3InN (r2SCAN)

Data for a geometry-optimized Pr3InN structure.

Lattice parameters (Å, degrees): 5.0788 5.0788 5.0788 90.00 90.00 90.00
Sites, in units of the cell vectors:
Pr 0.5000 0.5000 0.0000
Pr 0.0000 0.5000 0.5000
Pr 0.5000 0.0000 0.5000
In 0.0000 0.0000 0.0000
N 0.5000 0.5000 0.5000

Output
The formation energy is -1.00 eV per atom. The calculation puts the calculated total energy at -124.9 eV for the cell shown. For the magnetization, the calculation gives 0.001 μB/f.u. The theoretical density comes out at 7.0 g cm⁻³.

- Look up the theoretical density of the third one.
  7.0 g cm⁻³

- Which of these has the highest magnetization?
  Nd3InN